{
  "formula": "Li3Mn2SnO6",
  "functional": "GGA+U",
  "state": "optimized geometry",
  "lattice_angstrom": [[0.115, 2.676, 1.503], [-11.334, 4.096, -6.426], [-4.370, -1.936, 3.778]],
  "species": ["Li", "O", "Mn", "Sn", "Mn", "Li", "Mn", "O", "O", "Li", "O", "Li", "O", "Li", "O", "O", "O", "Mn", "O", "O", "Li", "O", "O", "Sn"],
  "frac_coords": [[0.500, 0.498, 0.492], [0.000, 0.502, 0.238], [0.500, 0.497, 0.015], [0.500, 0.167, 0.667], [0.000, 0.337, 0.319], [0.000, 0.998, 0.492], [0.500, 0.837, 0.318], [0.500, 0.672, 0.900], [0.500, 0.002, 0.238], [0.000, 0.335, 0.841], [0.500, 0.324, 0.567], [0.000, 0.666, 0.167], [0.000, 0.832, 0.095], [0.500, 0.835, 0.841], [0.500, 0.009, 0.766], [0.000, 0.824, 0.567], [0.000, 0.172, 0.900], [0.000, 0.996, 0.015], [0.000, 0.509, 0.766], [0.000, 0.162, 0.433], [0.500, 0.167, 0.167], [0.500, 0.332, 0.095], [0.500, 0.662, 0.433], [0.000, 0.667, 0.667]],
  "magnetic_moment_mub_per_fu": 0.00,
  "e_form_kj_per_mol_atoms": -203.1,
  "relative_energy_mev_per_atom": 16
}